1.
DFT (GGA-PBE) results for crystalline Lu2Ga2O5 at its relaxed geometry.

Results
ρ: 9.288 Mg/m³
raw total energy: -6.612 eV per atom
total magnetic moment: 0.0 μB per cell
E (MP2020): -6.994 eV per atom

abc: 3.889 3.889 6.729
angles: 90.00 90.00 90.00
Space group P4/mmm (No. 123)
Asymmetric unit:
Lu 0.000 0.000 0.000 [1 per cell]
Lu 0.000 0.000 0.500 [1 per cell]
Ga 0.500 0.500 0.202 [2 per cell]
O 0.000 0.500 0.234 [4 per cell]
O 0.500 0.500 0.500 [1 per cell]

2.
DFT (GGA-PBE) results for crystalline TiOF2 at its relaxed geometry.

Results
ρ: 2.961 Mg/m³
raw total energy: -7.303 eV per atom
ΔE to the lowest computed polymorph: 31 meV per atom
total magnetic moment: 0.0 μB per cell
E (MP2020): -7.706 eV per atom

abc: 3.805 3.805 7.894
angles: 90.00 90.00 90.00
Space group P4_2/mmc (No. 131)
Asymmetric unit:
Ti 0.000 0.000 0.000 [2 per cell]
O 0.000 0.500 0.000 [2 per cell]
F 0.000 0.000 0.250 [2 per cell]
F 0.000 0.500 0.500 [2 per cell]

3.
DFT (GGA-PBE) results for crystalline SrCuOF2 at its relaxed geometry.

Results
ρ: 5.161 Mg/m³
raw total energy: -5.166 eV per atom
total magnetic moment: 0.0 μB per cell
E (MP2020): -5.488 eV per atom

abc: 5.799 5.799 7.852
angles: 90.00 90.00 90.00
Space group I4/mcm (No. 140)
Asymmetric unit:
Sr 0.000 0.500 0.250 [4 per cell]
Cu 0.000 0.000 0.000 [4 per cell]
O 0.000 0.000 0.250 [4 per cell]
F 0.184 0.316 0.000 [8 per cell]

4.
DFT (GGA-PBE) results for crystalline Pa3Ge at its relaxed geometry.

Results
ρ: 14.077 Mg/m³
raw total energy: -8.583 eV per atom

abc: 4.487 4.487 4.487
angles: 90.00 90.00 90.00
Space group Pm-3m (No. 221)
Asymmetric unit:
Pa 0.000 0.000 0.500 [3 per cell]
Ge 0.500 0.500 0.500 [1 per cell]

Q: What is the formula in the fourth record?
A: Pa3Ge